--- P ---
## Ca8Mn6Al2O23 (PBE with a Hubbard U)

Data for an optimized crystal structure of Ca8Mn6Al2O23.

```
Ca8Mn6Al2O23
1.0
7.5299 0.0000 0.0000
0.0000 7.5299 0.0000
0.0000 0.0000 7.7275
Ca Mn Al O
8 6 2 23
direct
0.2588 0.2588 0.2500
0.2554 0.2554 0.7500
0.2588 0.7412 0.2500
0.2554 0.7446 0.7500
0.7412 0.2588 0.2500
0.7446 0.2554 0.7500
0.7412 0.7412 0.2500
0.7446 0.7446 0.7500
0.0000 0.5000 0.0048
0.0000 0.5000 0.4952
0.5000 0.0000 0.0048
0.5000 0.0000 0.4952
0.5000 0.5000 0.9994
0.5000 0.5000 0.5006
0.0000 0.0000 0.9758
0.0000 0.0000 0.5242
0.0000 0.0000 0.7500
0.0000 0.5000 0.2500
0.0000 0.5000 0.7500
0.5000 0.0000 0.2500
0.5000 0.0000 0.7500
0.5000 0.5000 0.2500
0.5000 0.5000 0.7500
0.2419 0.0000 0.0209
0.2419 0.0000 0.4791
0.2500 0.5000 0.9987
0.2500 0.5000 0.5013
0.7581 0.0000 0.0209
0.7581 0.0000 0.4791
0.7500 0.5000 0.9987
0.7500 0.5000 0.5013
0.0000 0.2419 0.0209
0.0000 0.2419 0.4791
0.0000 0.7581 0.0209
0.0000 0.7581 0.4791
0.5000 0.2500 0.9987
0.5000 0.2500 0.5013
0.5000 0.7500 0.9987
0.5000 0.7500 0.5013
```

Its symmetry is P4/mmm.

--- Q ---
## Ca8Mn6Al2O23 (PBE with a Hubbard U)

Data for an optimized crystal structure of Ca8Mn6Al2O23.

```
Ca8Mn6Al2O23
1.0
-7.8238 0.4911 -7.4030
10.0471 -3.1963 -10.8017
-1.8396 -10.4327 1.3434
Ca Mn Al O
32 24 8 92
direct
0.0209 0.1228 0.4969
0.0184 0.1209 0.9969
0.0224 0.6245 0.4954
0.0254 0.6236 0.9964
0.5136 0.1311 0.5023
0.5257 0.1249 0.9792
0.5241 0.6241 0.4993
0.5162 0.6219 0.9947
0.4864 0.3754 0.9982
0.4772 0.3805 0.5102
0.4841 0.8720 0.9909
0.4795 0.8713 0.5121
0.9753 0.3807 0.0039
0.9814 0.3747 0.5011
0.9790 0.8764 0.0083
0.9755 0.8766 0.5036
0.2334 0.3828 0.2526
0.2287 0.3735 0.7361
0.2281 0.8781 0.2456
0.2347 0.8766 0.7512
0.7360 0.3803 0.2466
0.7281 0.3759 0.7478
0.7384 0.8680 0.2444
0.7236 0.8748 0.7449
0.2441 0.1227 0.2604
0.2725 0.1232 0.7343
0.2722 0.6251 0.2517
0.2686 0.6222 0.7576
0.7730 0.1221 0.2565
0.7678 0.1235 0.7556
0.7742 0.6237 0.2553
0.7737 0.6247 0.7545
0.9999 0.0014 0.2509
0.9976 0.9991 0.7519
0.0024 0.4991 0.2475
0.0033 0.4989 0.7509
0.4992 0.5013 0.2508
0.4986 0.4999 0.7525
0.2547 0.0072 0.0030
0.2512 0.5000 0.4999
0.7491 0.9985 0.9960
0.7425 0.0009 0.5015
0.7489 0.5011 0.0006
0.7521 0.4995 0.5008
0.2506 0.7494 0.0040
0.2508 0.7517 0.4993
0.7528 0.2478 0.0014
0.7519 0.2491 0.5024
0.7500 0.7488 0.9992
0.7506 0.7497 0.5003
0.9990 0.2490 0.7439
0.0018 0.7495 0.2501
0.0016 0.7508 0.7505
0.5006 0.2488 0.7436
0.5011 0.7492 0.2522
0.4986 0.7496 0.7507
0.5147 0.9817 0.2340
0.4970 0.9995 0.7448
0.2335 0.9958 0.5145
0.2505 0.4960 0.0039
0.2549 0.2456 0.9623
0.2471 0.2470 0.4897
0.9873 0.2496 0.2702
0.5208 0.2621 0.2682
0.1051 0.2638 0.6018
0.1059 0.7708 0.1043
0.1047 0.7731 0.6026
0.5770 0.2520 0.1116
0.6026 0.2703 0.5985
0.6068 0.7725 0.1052
0.6049 0.7669 0.6039
0.3942 0.2171 0.3491
0.3986 0.2337 0.8864
0.3969 0.7277 0.3977
0.3970 0.7330 0.8987
0.8946 0.2304 0.4061
0.8984 0.2314 0.9027
0.8964 0.7309 0.3966
0.8963 0.7276 0.8961
0.1415 0.2405 0.3469
0.1402 0.2285 0.8471
0.1474 0.7303 0.3526
0.1487 0.7326 0.8535
0.6537 0.2306 0.3555
0.6481 0.2303 0.8544
0.6478 0.7275 0.3536
0.6450 0.7297 0.8536
0.3597 0.2636 0.6321
0.3558 0.7728 0.1483
0.3531 0.7702 0.6469
0.8635 0.2692 0.1449
0.8505 0.2708 0.6505
0.8571 0.7680 0.1439
0.8552 0.7724 0.6466
0.3571 0.4845 0.1458
0.3547 0.4796 0.6465
0.3644 0.0049 0.1717
0.3594 0.9865 0.6335
0.8553 0.4817 0.1450
0.8558 0.4791 0.6473
0.8543 0.9804 0.1462
0.8512 0.9772 0.6457
0.1401 0.0131 0.3630
0.1464 0.0279 0.8597
0.1482 0.5183 0.3526
0.1476 0.5106 0.8574
0.6074 0.0332 0.3531
0.6434 0.0161 0.8537
0.6473 0.5199 0.3537
0.6451 0.5206 0.8548
0.3919 0.0211 0.8948
0.3960 0.5220 0.3975
0.3924 0.5092 0.8971
0.8863 0.0230 0.3927
0.8951 0.0197 0.8972
0.8982 0.5171 0.3959
0.8962 0.5179 0.8980
0.1061 0.4852 0.1047
0.1054 0.4784 0.6035
0.1087 0.9847 0.1080
0.1009 0.9818 0.6136
0.6057 0.4780 0.1063
0.6058 0.4823 0.6046
0.6060 0.9816 0.0979
0.6042 0.9812 0.6037
0.0126 0.3727 0.2730
0.0111 0.3734 0.7883
0.0064 0.8751 0.2874
0.0130 0.8760 0.7944
0.5016 0.3776 0.2881
0.5101 0.3745 0.7838
0.5098 0.8724 0.2932
0.5041 0.8751 0.7789
0.4966 0.1248 0.7179
0.4913 0.6258 0.2093
0.4863 0.6244 0.7150
0.9985 0.1297 0.2159
0.9836 0.1241 0.7092
0.9922 0.6251 0.2119
0.9937 0.6250 0.7120
0.2400 0.1466 0.0505
0.2533 0.1207 0.5111
0.2455 0.6260 0.0329
0.2388 0.6253 0.5409
0.7411 0.1239 0.0401
0.7352 0.1248 0.5422
0.7368 0.6247 0.0402
0.7446 0.6250 0.5398
0.2607 0.3732 0.4663
0.2513 0.3573 0.0102
0.2638 0.8791 0.4609
0.2645 0.8823 0.9710
0.7615 0.3748 0.4607
0.7509 0.3740 0.9667
0.7548 0.8764 0.4585
0.7614 0.8739 0.9591
```

Its symmetry is P1.

Preferred: Q; penalty for the next structure: 5.1 kJ/mol of atoms.

--- P ---
## Ca8Mn6Al2O21 (PBE with a Hubbard U)

Data for an optimized crystal structure of Ca8Mn6Al2O21.

```
Ca8Mn6Al2O21
1.0
-5.1050 3.4330 4.6912
1.6584 -5.1238 5.5543
5.3595 4.4928 2.5444
Ca Mn Al O
8 6 2 21
direct
0.2623 0.2623 0.2500
0.2516 0.2516 0.7500
0.2623 0.7377 0.2500
0.2516 0.7484 0.7500
0.7377 0.2623 0.2500
0.7484 0.2516 0.7500
0.7377 0.7377 0.2500
0.7484 0.7484 0.7500
0.0000 0.5000 0.9972
0.0000 0.5000 0.5028
0.5000 0.0000 0.9972
0.5000 0.0000 0.5028
0.5000 0.5000 0.9985
0.5000 0.5000 0.5015
0.0000 0.0000 0.0036
0.0000 0.0000 0.4964
0.0000 0.5000 0.2500
0.0000 0.5000 0.7500
0.5000 0.0000 0.2500
0.5000 0.0000 0.7500
0.5000 0.5000 0.2500
0.2348 0.0000 0.0001
0.2348 0.0000 0.4999
0.2556 0.5000 0.9774
0.2556 0.5000 0.5226
0.7652 0.0000 0.0001
0.7652 0.0000 0.4999
0.7444 0.5000 0.9774
0.7444 0.5000 0.5226
0.0000 0.2348 0.0001
0.0000 0.2348 0.4999
0.0000 0.7652 0.0001
0.0000 0.7652 0.4999
0.5000 0.2556 0.9774
0.5000 0.2556 0.5226
0.5000 0.7444 0.9774
0.5000 0.7444 0.5226
```

Its symmetry is P4/mmm.

--- Q ---
## Ca8Mn6Al2O21 (PBE with a Hubbard U)

Data for an optimized crystal structure of Ca8Mn6Al2O21.

```
Ca8Mn6Al2O21
1.0
10.9046 -0.0105 -0.0630
-0.0127 15.3087 0.0232
-0.0613 0.0179 10.8185
Ca Mn Al O
32 24 8 84
direct
0.0155 0.1343 0.4883
0.0130 0.1214 0.9968
0.0090 0.6190 0.5127
0.0214 0.6183 0.9969
0.5250 0.1312 0.5085
0.5191 0.1231 0.9756
0.5301 0.6236 0.4946
0.5393 0.6276 0.0051
0.4913 0.3598 0.0077
0.4833 0.3826 0.5125
0.5012 0.8711 0.9783
0.4887 0.8730 0.4961
0.9731 0.3852 0.0081
0.9908 0.3923 0.4998
0.9762 0.8788 0.0013
0.9766 0.8688 0.5246
0.2249 0.3814 0.2631
0.2418 0.3833 0.7461
0.2452 0.8896 0.2495
0.2345 0.8857 0.7599
0.7276 0.3922 0.2555
0.7218 0.3829 0.7497
0.7382 0.8648 0.2422
0.7255 0.8726 0.7483
0.2473 0.1275 0.2454
0.2823 0.1240 0.7426
0.2673 0.6157 0.2676
0.2400 0.6221 0.7331
0.7304 0.1228 0.2429
0.7351 0.1135 0.7507
0.7796 0.6261 0.2587
0.7822 0.6270 0.7625
0.0067 0.9894 0.2524
0.9928 0.9968 0.7592
0.9977 0.5013 0.2514
0.0063 0.5001 0.7573
0.4963 0.5009 0.2468
0.5028 0.5043 0.7427
0.2544 0.0035 0.0020
0.2503 0.5004 0.5009
0.7466 0.9972 0.9981
0.7328 0.9977 0.5118
0.7490 0.4999 0.0027
0.7544 0.4990 0.5008
0.2672 0.7369 0.9960
0.2433 0.7592 0.4807
0.7684 0.2412 0.9846
0.7617 0.2480 0.4907
0.7587 0.7489 0.0044
0.7575 0.7481 0.5067
0.9942 0.2589 0.7504
0.0052 0.7493 0.2600
0.0080 0.7517 0.7609
0.5040 0.2514 0.7456
0.5080 0.7463 0.2587
0.5055 0.7447 0.7522
0.5068 0.9824 0.2275
0.4834 0.9936 0.7420
0.2214 0.0029 0.5189
0.2355 0.4930 0.0208
0.2468 0.2534 0.9515
0.2751 0.2418 0.4828
0.9807 0.2593 0.2604
0.5069 0.2618 0.2760
0.1311 0.7805 0.6197
0.5312 0.2320 0.1245
0.6207 0.2749 0.6161
0.6057 0.7681 0.1089
0.6020 0.7686 0.6056
0.3847 0.2158 0.3624
0.3904 0.2283 0.8843
0.4063 0.7340 0.4046
0.4140 0.7264 0.9066
0.8783 0.1990 0.3541
0.8940 0.1934 0.8483
0.9064 0.7318 0.4140
0.9077 0.7304 0.9063
0.1228 0.2277 0.3291
0.1514 0.2349 0.8158
0.1763 0.7486 0.2922
0.1492 0.7302 0.8645
0.6395 0.2335 0.3619
0.6412 0.2343 0.8586
0.6616 0.7320 0.3600
0.6573 0.7363 0.8602
0.3730 0.2632 0.6234
0.9187 0.2446 0.1066
0.9145 0.2554 0.5945
0.8715 0.7739 0.1451
0.8609 0.7738 0.6548
0.3588 0.4744 0.1348
0.3590 0.4808 0.6427
0.3643 0.0177 0.1639
0.3432 0.9984 0.6372
0.8535 0.4821 0.1477
0.8621 0.4800 0.6454
0.8523 0.9959 0.1726
0.8487 0.9864 0.6558
0.1331 0.0263 0.3649
0.1447 0.0275 0.8571
0.1425 0.5073 0.3547
0.1742 0.5137 0.8653
0.5877 0.0325 0.3517
0.6376 0.9999 0.8569
0.6449 0.5207 0.3478
0.6378 0.5258 0.8579
0.3909 0.0121 0.8906
0.3943 0.5158 0.3933
0.8962 0.0117 0.9087
0.8983 0.5223 0.3934
0.8966 0.5155 0.9006
0.1008 0.4768 0.1129
0.1147 0.4874 0.6135
0.1112 0.9945 0.1072
0.0831 0.9953 0.6070
0.6020 0.4768 0.1027
0.6155 0.4807 0.6003
0.6085 0.9784 0.1029
0.5887 0.9784 0.6128
0.9934 0.3743 0.2815
0.0155 0.3785 0.7889
0.0133 0.8733 0.3035
0.0220 0.8713 0.7980
0.5002 0.3766 0.2898
0.4985 0.3799 0.7929
0.4802 0.8724 0.2727
0.4638 0.8683 0.7627
0.5071 0.1244 0.7222
0.4802 0.6254 0.2100
0.4665 0.6268 0.7084
0.9996 0.6255 0.2127
0.0043 0.6260 0.7238
0.2023 0.1768 0.0588
0.2249 0.1342 0.5298
0.2440 0.6200 0.0487
0.2277 0.6369 0.5148
0.7328 0.1212 0.0289
0.7405 0.1200 0.5337
0.7496 0.6265 0.0427
0.7490 0.6255 0.5469
0.2310 0.3545 0.4760
0.2540 0.3671 0.9828
0.2686 0.8909 0.4642
0.2755 0.8594 0.0222
0.7735 0.3749 0.4602
0.7605 0.3669 0.9727
0.7623 0.8812 0.4580
0.7641 0.8746 0.9716
```

Its symmetry is P1.

Preferred: Q; penalty for the next structure: 11.6 kJ/mol of atoms.